1.
# Li2AlRh

A relaxed structure of Li2AlRh (PBE, the Materials Project). Values from VASP.

Summary:
Formation energy in eV per atom: -0.49

```
&SYSTEM
  ibrav = 0, nat = 4, ntyp = 3
/
ATOMIC_SPECIES
Li 6.94 Li.upf
Al 26.98 Al.upf
Rh 102.91 Rh.upf
ATOMIC_POSITIONS crystal
Li 0.0000 0.0000 0.0000
Li 0.2500 0.2500 0.2500
Al 0.5000 0.5000 0.5000
Rh 0.7500 0.7500 0.7500
CELL_PARAMETERS angstrom
0.0000 3.0045 3.0045
3.0045 0.0000 3.0045
3.0045 3.0045 0.0000
```

2.
# HoNiGe2

A relaxed structure of HoNiGe2 (PBE, the Materials Project). Values from VASP.

Summary:
Formation energy in eV per atom: -0.68

```
&SYSTEM
  ibrav = 0, nat = 8, ntyp = 3
/
ATOMIC_SPECIES
Ho 164.93 Ho.upf
Ni 58.69 Ni.upf
Ge 72.64 Ge.upf
ATOMIC_POSITIONS crystal
Ho 0.1079 0.8921 0.7500
Ho 0.8921 0.1079 0.2500
Ni 0.3229 0.6771 0.7500
Ni 0.6771 0.3229 0.2500
Ge 0.2516 0.7484 0.2500
Ge 0.4592 0.5408 0.7500
Ge 0.5408 0.4592 0.2500
Ge 0.7484 0.2516 0.7500
CELL_PARAMETERS angstrom
2.0416 -8.4035 0.0000
2.0416 8.4035 0.0000
0.0000 0.0000 4.1738
```

3.
# Zr8Ni21

A relaxed structure of Zr8Ni21 (PBE, the Materials Project). Values from VASP.

Summary:
Formation energy in eV per atom: -0.43

```
&SYSTEM
  ibrav = 0, nat = 29, ntyp = 2
/
ATOMIC_SPECIES
Zr 91.22 Zr.upf
Ni 58.69 Ni.upf
ATOMIC_POSITIONS crystal
Zr 0.0670 0.0377 0.2475
Zr 0.2517 0.5635 0.9662
Zr 0.2526 0.4403 0.3927
Zr 0.4306 0.0956 0.6855
Zr 0.5694 0.9044 0.3145
Zr 0.7474 0.5597 0.6073
Zr 0.7483 0.4365 0.0338
Zr 0.9330 0.9623 0.7525
Ni 0.0153 0.2922 0.7257
Ni 0.0153 0.6173 0.7557
Ni 0.1824 0.2562 0.9520
Ni 0.1836 0.9011 0.9642
Ni 0.1966 0.7547 0.4586
Ni 0.2133 0.1146 0.4702
Ni 0.3638 0.7873 0.6576
Ni 0.3809 0.4448 0.6515
Ni 0.4008 0.7202 0.1542
Ni 0.4020 0.2406 0.1525
Ni 0.5000 0.0000 0.0000
Ni 0.5980 0.7594 0.8475
Ni 0.5992 0.2798 0.8458
Ni 0.6191 0.5552 0.3485
Ni 0.6362 0.2127 0.3424
Ni 0.7867 0.8854 0.5298
Ni 0.8034 0.2453 0.5414
Ni 0.8164 0.0989 0.0358
Ni 0.8176 0.7438 0.0480
Ni 0.9847 0.3827 0.2443
Ni 0.9847 0.7078 0.2743
CELL_PARAMETERS angstrom
6.4512 0.0000 0.0000
2.0474 7.8183 0.0000
3.2056 1.4002 7.8201
```

4.
# TbDyAl4

A relaxed structure of TbDyAl4 (PBE, the Materials Project). Values from VASP.

Summary:
Formation energy in eV per atom: -0.52

```
&SYSTEM
  ibrav = 0, nat = 6, ntyp = 3
/
ATOMIC_SPECIES
Tb 158.93 Tb.upf
Dy 162.50 Dy.upf
Al 26.98 Al.upf
ATOMIC_POSITIONS crystal
Tb 0.0000 0.0000 0.0000
Dy 0.7500 0.7500 0.7500
Al 0.3750 0.3750 0.3750
Al 0.3750 0.3750 0.8750
Al 0.3750 0.8750 0.3750
Al 0.8750 0.3750 0.3750
CELL_PARAMETERS angstrom
0.0000 3.9367 3.9367
3.9367 0.0000 3.9367
3.9367 3.9367 0.0000
```

5.
# LaGa2

A relaxed structure of LaGa2 (PBE, the Materials Project). Values from VASP.

Summary:
Formation energy in eV per atom: -0.70

```
&SYSTEM
  ibrav = 0, nat = 3, ntyp = 2
/
ATOMIC_SPECIES
La 138.91 La.upf
Ga 69.72 Ga.upf
ATOMIC_POSITIONS crystal
La 0.0000 0.0000 0.0000
Ga 0.3333 0.6667 0.5000
Ga 0.6667 0.3333 0.5000
CELL_PARAMETERS angstrom
4.3289 0.0000 0.0000
-2.1644 3.7489 0.0000
0.0000 0.0000 4.4538
```

6.
# KAlH3

A relaxed structure of KAlH3 (PBE, the Materials Project). Values from VASP.

Summary:
Formation energy in eV per atom: -0.11

```
&SYSTEM
  ibrav = 0, nat = 5, ntyp = 3
/
ATOMIC_SPECIES
K 39.10 K.upf
Al 26.98 Al.upf
H 1.01 H.upf
ATOMIC_POSITIONS crystal
K 0.0000 0.0000 0.0000
Al 0.5000 0.5000 0.5000
H 0.0000 0.5000 0.5000
H 0.5000 0.0000 0.5000
H 0.5000 0.5000 0.0000
CELL_PARAMETERS angstrom
3.9817 0.0000 0.0000
0.0000 3.9817 0.0000
0.0000 0.0000 3.9817
```

7.
# AgI

A relaxed structure of AgI (PBE, the Materials Project). Values from VASP.

Summary:
Formation energy in eV per atom: -0.08

```
&SYSTEM
  ibrav = 0, nat = 2, ntyp = 2
/
ATOMIC_SPECIES
Ag 107.87 Ag.upf
I 126.90 I.upf
ATOMIC_POSITIONS crystal
Ag 0.0000 0.0000 0.0000
I 0.5000 0.5000 0.5000
CELL_PARAMETERS angstrom
3.8550 0.0000 0.0000
0.0000 3.8550 0.0000
0.0000 0.0000 3.8550
```

8.
# Lu3Pu

A relaxed structure of Lu3Pu (PBE, the Materials Project). Values from VASP.

Summary:
Formation energy in eV per atom: 0.71

```
&SYSTEM
  ibrav = 0, nat = 4, ntyp = 2
/
ATOMIC_SPECIES
Lu 174.97 Lu.upf
Pu 244.00 Pu.upf
ATOMIC_POSITIONS crystal
Lu 0.0000 0.0000 0.0000
Lu 0.2500 0.7500 0.5000
Lu 0.7500 0.2500 0.5000
Pu 0.5000 0.5000 0.0000
CELL_PARAMETERS angstrom
-2.3386 2.3386 4.6523
2.3386 -2.3386 4.6523
2.3386 2.3386 -4.6523
```

What did the third record say?
# Zr8Ni21

A relaxed structure of Zr8Ni21 (PBE, the Materials Project). Values from VASP.

Summary:
Formation energy in eV per atom: -0.43

```
&SYSTEM
  ibrav = 0, nat = 29, ntyp = 2
/
ATOMIC_SPECIES
Zr 91.22 Zr.upf
Ni 58.69 Ni.upf
ATOMIC_POSITIONS crystal
Zr 0.0670 0.0377 0.2475
Zr 0.2517 0.5635 0.9662
Zr 0.2526 0.4403 0.3927
Zr 0.4306 0.0956 0.6855
Zr 0.5694 0.9044 0.3145
Zr 0.7474 0.5597 0.6073
Zr 0.7483 0.4365 0.0338
Zr 0.9330 0.9623 0.7525
Ni 0.0153 0.2922 0.7257
Ni 0.0153 0.6173 0.7557
Ni 0.1824 0.2562 0.9520
Ni 0.1836 0.9011 0.9642
Ni 0.1966 0.7547 0.4586
Ni 0.2133 0.1146 0.4702
Ni 0.3638 0.7873 0.6576
Ni 0.3809 0.4448 0.6515
Ni 0.4008 0.7202 0.1542
Ni 0.4020 0.2406 0.1525
Ni 0.5000 0.0000 0.0000
Ni 0.5980 0.7594 0.8475
Ni 0.5992 0.2798 0.8458
Ni 0.6191 0.5552 0.3485
Ni 0.6362 0.2127 0.3424
Ni 0.7867 0.8854 0.5298
Ni 0.8034 0.2453 0.5414
Ni 0.8164 0.0989 0.0358
Ni 0.8176 0.7438 0.0480
Ni 0.9847 0.3827 0.2443
Ni 0.9847 0.7078 0.2743
CELL_PARAMETERS angstrom
6.4512 0.0000 0.0000
2.0474 7.8183 0.0000
3.2056 1.4002 7.8201
```